[1]
The following is a GGA+U calculation of an optimized crystal structure of LiMn3P2H4O12, from the Materials Project database.

a = 10.3608 Å, b = 7.4652 Å, c = 13.0415 Å
α = 63.59°, β = 90.00°, γ = 90.00°
With the nearest neighbours (Å) after each atom.
Sites, in units of the cell vectors:
Mn 0.7611 0.9731 0.9625  4 O 1.93-2.11
Mn 0.2166 0.4895 0.9595  5 O 1.92-2.12
Mn 0.9286 0.2454 0.2661  5 O 1.92-2.09
Mn 0.7834 0.5105 0.0405  5 O 1.92-2.12
Mn 0.2611 0.0269 0.5375  4 O 1.93-2.11
Mn 0.7166 0.5105 0.5405  5 O 1.92-2.12
Mn 0.0714 0.7546 0.7339  5 O 1.92-2.09
Mn 0.2834 0.4895 0.4595  5 O 1.92-2.12
Mn 0.5714 0.2454 0.7661  5 O 1.92-2.09
Mn 0.2389 0.0269 0.0375  4 O 1.93-2.11
Mn 0.4286 0.7546 0.2339  5 O 1.92-2.09
Mn 0.7389 0.9731 0.4625  4 O 1.93-2.11
O 0.3563 0.2987 0.0036  1 H 0.99
O 0.1075 0.8645 0.5702  1 H 0.99
O 0.6222 0.2311 0.3891  1 P 1.55
O 0.5414 0.9765 0.2195  1 P 1.55
O 0.8563 0.7013 0.4964  1 H 0.99
O 0.2339 0.9842 0.7122  1 P 1.56
O 0.8778 0.2311 0.8891  1 P 1.55
O 0.6052 0.7715 0.5009  1 H 1.00
O 0.1222 0.7689 0.1109  1 P 1.55
O 0.7152 0.4369 0.7277  1 P 1.58
O 0.9334 0.3480 0.1024  1 H 1.00
O 0.6437 0.7013 0.9964  1 H 0.99
O 0.3948 0.2285 0.4991  1 H 1.00
O 0.7794 0.5595 0.8697  1 P 1.54
O 0.2848 0.5631 0.2723  1 P 1.58
O 0.7339 0.0158 0.7878  1 P 1.56
O 0.7848 0.4369 0.2277  1 P 1.58
O 0.2466 0.0692 0.8740  1 P 1.55
O 0.8925 0.1355 0.4298  1 H 0.99
O 0.9408 0.5530 0.7202  1 P 1.54
O 0.1052 0.2285 0.9991  1 H 1.00
O 0.0592 0.4470 0.2798  1 P 1.54
O 0.4408 0.4470 0.7798  1 P 1.54
O 0.2206 0.4405 0.1303  1 P 1.54
O 0.9586 0.9765 0.7195  1 P 1.55
O 0.4586 0.0235 0.7805  1 P 1.55
O 0.7661 0.0158 0.2878  1 P 1.56
O 0.7466 0.9308 0.6260  1 P 1.55
O 0.4334 0.6520 0.3976  1 H 1.00
O 0.8360 0.2714 0.5936  1 P 1.56
O 0.2152 0.5631 0.7723  1 P 1.58
O 0.6640 0.2714 0.0936  1 P 1.56
O 0.5666 0.3480 0.6024  1 H 1.00
O 0.7534 0.9308 0.1260  1 P 1.55
O 0.8948 0.7715 0.0009  1 H 1.00
O 0.2534 0.0692 0.3740  1 P 1.55
O 0.3925 0.8645 0.0702  1 H 0.99
O 0.1640 0.7286 0.4064  1 P 1.56
O 0.2661 0.9842 0.2122  1 P 1.56
O 0.6075 0.1355 0.9298  1 H 0.99
O 0.0666 0.6520 0.8976  1 H 1.00
O 0.5592 0.5530 0.2202  1 P 1.54
O 0.0414 0.0235 0.2805  1 P 1.55
O 0.2794 0.4405 0.6303  1 P 1.54
O 0.7206 0.5595 0.3697  1 P 1.54
O 0.1437 0.2987 0.5036  1 H 0.99
O 0.3360 0.7286 0.9064  1 P 1.56
O 0.3778 0.7689 0.6109  1 P 1.55
P 0.1821 0.9526 0.3185  4 O 1.55-1.56
P 0.8179 0.0474 0.6815  4 O 1.55-1.56
P 0.6692 0.4442 0.3050  4 O 1.54-1.58
P 0.8308 0.4442 0.8050  4 O 1.54-1.58
P 0.3179 0.9526 0.8185  4 O 1.55-1.56
P 0.6821 0.0474 0.1815  4 O 1.55-1.56
P 0.1692 0.5558 0.1950  4 O 1.54-1.58
P 0.3308 0.5558 0.6950  4 O 1.54-1.58
H 0.4605 0.2285 0.4431  1 O 1.00
H 0.6113 0.2218 0.9696  1 O 0.99
H 0.1113 0.7782 0.5304  1 O 0.99
H 0.4039 0.3368 0.9307  1 O 0.99
H 0.0068 0.7170 0.9315  1 O 1.00
H 0.5961 0.6632 0.0693  1 O 0.99
H 0.9039 0.6632 0.5693  1 O 0.99
H 0.3887 0.7782 0.0304  1 O 0.99
H 0.9605 0.7715 0.0569  1 O 1.00
H 0.4932 0.7170 0.4315  1 O 1.00
H 0.5395 0.7715 0.5569  1 O 1.00
H 0.8887 0.2218 0.4696  1 O 0.99
H 0.0961 0.3368 0.4307  1 O 0.99
H 0.0395 0.2285 0.9431  1 O 1.00
H 0.9932 0.2830 0.0685  1 O 1.00
H 0.5068 0.2830 0.5685  1 O 1.00
Li 0.3931 0.2330 0.1733  4 O 2.08-2.32
Li 0.1069 0.2330 0.6733  4 O 2.08-2.32
Li 0.8931 0.7670 0.3267  4 O 2.08-2.32
Li 0.6069 0.7670 0.8267  4 O 2.08-2.32

## Properties
- calculated formation energy (eV/atom) = -2.0829

***

[2]
The following is a GGA+U calculation of an optimized crystal structure of Li2MnP4H16O20, from the Materials Project database.

a = 10.6785 Å, b = 7.1823 Å, c = 12.0650 Å
α = 64.39°, β = 90.00°, γ = 90.00°
With the nearest neighbours (Å) after each atom.
Sites, in units of the cell vectors:
H 0.3271 0.5342 0.1584  1 O 1.00
H 0.5656 0.5184 0.6040  1 O 1.03
H 0.7896 0.8623 0.7120  1 O 1.03
H 0.0656 0.4816 0.8960  1 O 1.03
H 0.1729 0.5342 0.6584  1 O 1.00
H 0.0865 0.0898 0.5761  1 O 1.02
H 0.9602 0.3325 0.8089  1 O 1.00
H 0.4602 0.6675 0.6911  1 O 1.00
H 0.8955 0.8995 0.9462  1 O 1.06
H 0.1225 0.4936 0.1880  1 O 1.00
H 0.0398 0.6675 0.1911  1 O 1.00
H 0.7104 0.8623 0.2120  1 O 1.03
H 0.2896 0.1377 0.7880  1 O 1.03
H 0.9018 0.2552 0.3934  1 O 0.99
H 0.0982 0.7448 0.6066  1 O 0.99
H 0.6225 0.5064 0.3120  1 O 1.00
H 0.3775 0.4936 0.6880  1 O 1.00
H 0.5398 0.3325 0.3089  1 O 1.00
H 0.4344 0.4816 0.3960  1 O 1.03
H 0.6729 0.4658 0.8416  1 O 1.00
H 0.9135 0.9102 0.4239  1 O 1.02
H 0.3955 0.1005 0.5538  1 O 1.06
H 0.5982 0.2552 0.8934  1 O 0.99
H 0.1045 0.1005 0.0538  1 O 1.06
H 0.2104 0.1377 0.2880  1 O 1.03
H 0.4018 0.7448 0.1066  1 O 0.99
H 0.5865 0.9102 0.9239  1 O 1.02
H 0.8775 0.5064 0.8120  1 O 1.00
H 0.6045 0.8995 0.4462  1 O 1.06
H 0.8271 0.4658 0.3416  1 O 1.00
H 0.4135 0.0898 0.0761  1 O 1.02
H 0.9344 0.5184 0.1040  1 O 1.03
O 0.5622 0.3981 0.3646  2 H 1.00
O 0.6651 0.8953 0.5169  1 H 1.06
O 0.3129 0.9889 0.8052  1 H 1.03
O 0.8441 0.5044 0.0785  1 H 1.03
O 0.6871 0.0111 0.1948  1 H 1.03
O 0.0402 0.9658 0.6409  1 H 1.02
O 0.7573 0.6492 0.7178  1 P 1.53, 1 H 1.54
O 0.3597 0.6471 0.0811  2 H 0.99-1.00
O 0.1871 0.9889 0.3052  1 H 1.03
O 0.5402 0.0342 0.8591  1 H 1.02
O 0.0261 0.7337 0.3122  1 P 1.52
O 0.2573 0.3508 0.7822  1 P 1.53, 1 H 1.54
O 0.4859 0.1057 0.6412  1 H 1.44, 1 P 1.53
O 0.5141 0.8943 0.3588  1 H 1.44, 1 P 1.53
O 0.1397 0.3034 0.4844  1 P 1.52, 1 H 1.56
O 0.1651 0.1047 0.9831  1 H 1.06
O 0.0141 0.1057 0.1412  1 H 1.44, 1 P 1.53
O 0.2427 0.3508 0.2822  1 P 1.53, 1 H 1.54
O 0.5261 0.2663 0.1878  1 P 1.52
O 0.1559 0.4956 0.9215  1 H 1.03
O 0.7427 0.6492 0.2178  1 P 1.53, 1 H 1.54
O 0.9598 0.0342 0.3591  1 H 1.02
O 0.1403 0.6471 0.5811  2 H 0.99-1.00
O 0.8603 0.6966 0.5156  1 P 1.52, 1 H 1.56
O 0.0622 0.6019 0.1354  2 H 1.00
O 0.8597 0.3529 0.4189  2 H 0.99-1.00
O 0.9739 0.2663 0.6878  1 P 1.52
O 0.9859 0.8943 0.8588  1 H 1.44, 1 P 1.53
O 0.3441 0.4956 0.4215  1 H 1.03
O 0.8129 0.0111 0.6948  1 H 1.03
O 0.6397 0.6966 0.0156  1 P 1.52, 1 H 1.56
O 0.4598 0.9658 0.1409  1 H 1.02
O 0.3349 0.1047 0.4831  1 H 1.06
O 0.6403 0.3529 0.9189  2 H 0.99-1.00
O 0.8349 0.8953 0.0169  1 H 1.06
O 0.4739 0.7337 0.8122  1 P 1.52
O 0.3603 0.3034 0.9844  1 P 1.52, 1 H 1.56
O 0.9378 0.3981 0.8646  2 H 1.00
O 0.6559 0.5044 0.5785  1 H 1.03
O 0.4378 0.6019 0.6354  2 H 1.00
P 0.7613 0.6846 0.0840  4 O 1.52-1.59
P 0.2613 0.3154 0.4160  4 O 1.52-1.59
P 0.5446 0.0371 0.2248  4 O 1.52-1.60
P 0.0446 0.9629 0.2752  4 O 1.52-1.60
P 0.9554 0.0371 0.7248  4 O 1.52-1.60
P 0.2387 0.3154 0.9160  4 O 1.52-1.59
P 0.4554 0.9629 0.7752  4 O 1.52-1.60
P 0.7387 0.6846 0.5840  4 O 1.52-1.59
Li 0.8399 0.2037 0.0444  5 O 2.15-2.39
Li 0.6601 0.2037 0.5444  5 O 2.15-2.39
Li 0.1601 0.7963 0.9556  5 O 2.15-2.39
Li 0.3399 0.7963 0.4556  5 O 2.15-2.39
Mn 0.0000 0.5000 0.5000  6 O 2.12-2.28
Mn 0.5000 0.5000 0.0000  6 O 2.12-2.28

## Properties
- calculated formation energy (eV/atom) = -1.8873

***

[3]
The following is a GGA+U calculation of an optimized crystal structure of LiMnPHO5, from the Materials Project database.

a = 6.7897 Å, b = 7.2993 Å, c = 8.3116 Å
α = 93.98°, β = 94.09°, γ = 61.90°
With the nearest neighbours (Å) after each atom.
Sites, in units of the cell vectors:
Mn 0.4997 0.9998 0.4999  4 O 1.92-2.02
Mn 0.9998 0.9999 0.0001  4 O 1.92-2.01
Mn 0.5004 0.5002 0.0000  4 O 1.95-2.00
Mn 0.9997 0.5002 0.4999  4 O 1.96-2.00
Li 0.7428 0.8243 0.1811  5 O 2.01-2.16
Li 0.2428 0.8242 0.6812  5 O 2.01-2.16
Li 0.7572 0.1756 0.3190  5 O 2.01-2.16
Li 0.2572 0.1757 0.8189  5 O 2.01-2.16
O 0.6625 0.6601 0.9895  1 P 1.57
O 0.9191 0.6137 0.7582  1 P 1.53, 1 H 1.72
O 0.4191 0.6136 0.2582  1 P 1.54, 1 H 1.71
O 0.2603 0.9327 0.4495  1 P 1.57
O 0.8377 0.3400 0.5105  1 P 1.57
O 0.5810 0.3863 0.7419  1 P 1.53, 1 H 1.71
O 0.7605 0.9327 0.9496  1 P 1.57
O 0.7392 0.0674 0.5503  1 P 1.57
O 0.2393 0.0674 0.0503  1 P 1.57
O 0.7821 0.2767 0.0981  1 H 1.01
O 0.1624 0.6600 0.4895  1 P 1.57
O 0.9970 0.1198 0.7606  1 P 1.54
O 0.5030 0.8801 0.7393  1 P 1.54
O 0.0810 0.3864 0.2419  1 P 1.54, 1 H 1.71
O 0.2820 0.2767 0.5979  1 H 1.01
O 0.7177 0.7234 0.4020  1 H 1.01
O 0.2180 0.7233 0.9021  1 H 1.01
O 0.4970 0.1198 0.2606  1 P 1.54
O 0.3379 0.3401 0.0105  1 P 1.57
O 0.0030 0.8801 0.2393  1 P 1.54
P 0.2874 0.2346 0.1492  4 O 1.54-1.57
P 0.7873 0.2345 0.6493  4 O 1.53-1.57
P 0.2127 0.7654 0.3507  4 O 1.54-1.57
P 0.7128 0.7655 0.8506  4 O 1.53-1.57
H 0.6237 0.6559 0.3598  1 O 1.01
H 0.3764 0.3440 0.6402  1 O 1.01
H 0.8765 0.3440 0.1404  1 O 1.01
H 0.1238 0.6559 0.8599  1 O 1.01

## Properties
- calculated formation energy (eV/atom) = -2.3196

***

[4]
The following is a GGA+U calculation of an optimized crystal structure of Li3Mn4P3H12O19, from the Materials Project database.

a = 10.8262 Å, b = 10.8262 Å, c = 10.8262 Å
α = 60.27°, β = 60.27°, γ = 60.27°
With the nearest neighbours (Å) after each atom.
Sites, in units of the cell vectors:
O 0.4278 0.6547 0.8786  1 P 1.56
O 0.4631 0.2986 0.6475  1 P 1.54
O 0.8221 0.3440 0.9340  1 P 1.57
O 0.3440 0.9340 0.8221  1 P 1.57
O 0.7016 0.8171 0.0419  2 H 0.99
O 0.8461 0.6856 0.2862  1 P 1.56
O 0.9660 0.6572 0.6301  2 H 0.97-0.99
O 0.3461 0.7862 0.1856  1 P 1.56
O 0.8440 0.3221 0.4340  1 P 1.57
O 0.1301 0.1572 0.4660  2 H 0.97-0.99
O 0.0758 0.0758 0.0758  4 Mn 2.04-2.05
O 0.6475 0.4631 0.2986  1 P 1.54
O 0.5758 0.5758 0.5758  4 Mn 2.04-2.05
O 0.3221 0.4340 0.8440  1 P 1.57
O 0.8786 0.4278 0.6547  1 P 1.56
O 0.4340 0.8440 0.3221  1 P 1.57
O 0.1856 0.3461 0.7862  1 P 1.56
O 0.2862 0.8461 0.6856  1 P 1.56
O 0.1475 0.7986 0.9631  1 P 1.54
O 0.0419 0.7016 0.8171  2 H 0.99
O 0.2986 0.6475 0.4631  1 P 1.54
O 0.6856 0.2862 0.8461  1 P 1.56
O 0.9631 0.1475 0.7986  1 P 1.54
O 0.6301 0.9660 0.6572  2 H 0.97-0.99
O 0.7986 0.9631 0.1475  1 P 1.54
O 0.6547 0.8786 0.4278  1 P 1.56
O 0.7862 0.1856 0.3461  1 P 1.56
O 0.4660 0.1301 0.1572  2 H 0.97-0.99
O 0.2016 0.5419 0.3171  2 H 0.99
O 0.3171 0.2016 0.5419  2 H 0.99
O 0.3786 0.1547 0.9278  1 P 1.56
O 0.8171 0.0419 0.7016  2 H 0.99
O 0.1572 0.4660 0.1301  2 H 0.97-0.99
O 0.9340 0.8221 0.3440  1 P 1.57
O 0.9278 0.3786 0.1547  1 P 1.56
O 0.6572 0.6301 0.9660  2 H 0.97-0.99
O 0.5419 0.3171 0.2016  2 H 0.99
O 0.1547 0.9278 0.3786  1 P 1.56
H 0.5038 0.2582 0.1905  1 O 0.99
H 0.8065 0.1432 0.6244  1 O 0.99
H 0.6432 0.3065 0.1244  1 O 0.99
H 0.1741 0.1147 0.3865  1 O 0.97
H 0.7582 0.0038 0.6905  1 O 0.99
H 0.9615 0.7240 0.5272  1 O 0.99
H 0.5272 0.9615 0.7240  1 O 0.99
H 0.3065 0.1244 0.6432  1 O 0.99
H 0.3865 0.1741 0.1147  1 O 0.97
H 0.4615 0.0272 0.2240  1 O 0.99
H 0.7240 0.5272 0.9615  1 O 0.99
H 0.2240 0.4615 0.0272  1 O 0.99
H 0.6244 0.8065 0.1432  1 O 0.99
H 0.6147 0.6741 0.8865  1 O 0.97
H 0.0272 0.2240 0.4615  1 O 0.99
H 0.1244 0.6432 0.3065  1 O 0.99
H 0.6741 0.8865 0.6147  1 O 0.97
H 0.0038 0.6905 0.7582  1 O 0.99
H 0.1432 0.6244 0.8065  1 O 0.99
H 0.1147 0.3865 0.1741  1 O 0.97
H 0.2582 0.1905 0.5038  1 O 0.99
H 0.8865 0.6147 0.6741  1 O 0.97
H 0.6905 0.7582 0.0038  1 O 0.99
H 0.1905 0.5038 0.2582  1 O 0.99
P 0.3063 0.8008 0.3387  4 O 1.54-1.57
P 0.3008 0.8063 0.8387  4 O 1.54-1.57
P 0.8387 0.3008 0.8063  4 O 1.54-1.57
P 0.3387 0.3063 0.8008  4 O 1.54-1.57
P 0.8063 0.8387 0.3008  4 O 1.54-1.57
P 0.8008 0.3387 0.3063  4 O 1.54-1.57
Li 0.5696 0.1742 0.4378  3 O 2.09-2.32
Li 0.0696 0.9378 0.6742  3 O 2.09-2.32
Li 0.6742 0.0696 0.9378  3 O 2.09-2.32
Li 0.1742 0.4378 0.5696  3 O 2.09-2.32
Li 0.9378 0.6742 0.0696  3 O 2.09-2.32
Li 0.4378 0.5696 0.1742  3 O 2.09-2.32
Mn 0.4788 0.8054 0.5068  4 O 2.05-2.08
Mn 0.0068 0.3054 0.9788  4 O 2.05-2.08
Mn 0.9988 0.9988 0.9988  4 O 2.04-2.05
Mn 0.8054 0.5068 0.4788  4 O 2.05-2.08
Mn 0.9788 0.0068 0.3054  4 O 2.05-2.08
Mn 0.4988 0.4988 0.4988  4 O 2.04-2.05
Mn 0.5068 0.4788 0.8054  4 O 2.05-2.08
Mn 0.3054 0.9788 0.0068  4 O 2.05-2.08

## Properties
- calculated formation energy (eV/atom) = -1.9346

***

Summary of VASP energy in eV/cell
-582.97; -507.24; -241.56; -505.87
(order as listed above)